No. 1
Compound: PrGdTiVO6
Source: Materials Project
Functional: PBE with a Hubbard U
Structure: optimized geometry

Output
As for the symmetry: No. 48. Its size of the total moment is 0.35 μB/atom.

Lattice parameters (Å, degrees): 11.086 11.113 11.119 90.00 90.00 90.00
Positions (direct):
Pr: 0.500 0.000 0.500
Pr: 0.500 0.500 0.000
Pr: 0.000 0.500 0.000
Pr: 0.000 0.000 0.500
Gd: 0.000 0.500 0.500
Gd: 0.500 0.000 0.000
Gd: 0.000 0.000 0.000
Gd: 0.500 0.500 0.500
Ti: 0.750 0.750 0.750
Ti: 0.250 0.250 0.750
Ti: 0.250 0.750 0.250
Ti: 0.750 0.250 0.250
V: 0.250 0.250 0.250
V: 0.750 0.750 0.250
V: 0.750 0.250 0.750
V: 0.250 0.750 0.750
O: 0.984 0.196 0.287
O: 0.016 0.804 0.287
O: 0.016 0.196 0.713
O: 0.984 0.804 0.713
O: 0.295 0.983 0.194
O: 0.295 0.017 0.806
O: 0.705 0.017 0.194
O: 0.705 0.983 0.806
O: 0.199 0.291 0.984
O: 0.801 0.291 0.016
O: 0.199 0.709 0.016
O: 0.801 0.709 0.984
O: 0.516 0.304 0.213
O: 0.484 0.696 0.213
O: 0.484 0.304 0.787
O: 0.516 0.696 0.787
O: 0.205 0.517 0.306
O: 0.205 0.483 0.694
O: 0.795 0.483 0.306
O: 0.795 0.517 0.694
O: 0.301 0.209 0.516
O: 0.699 0.209 0.484
O: 0.301 0.791 0.484
O: 0.699 0.791 0.516


No. 2
Compound: RbGdW2O8
Source: Materials Project
Functional: PBE with a Hubbard U
Structure: optimized geometry

Output
As for the symmetry: No. 15. Its size of the total moment is 0.58 μB/atom.

Lattice parameters (Å, degrees): 7.695 7.695 7.530 62.61 62.61 88.91
Positions (direct):
Rb: 0.202 0.798 0.750
Rb: 0.798 0.202 0.250
Gd: 0.776 0.224 0.750
Gd: 0.224 0.776 0.250
W: 0.699 0.689 0.783
W: 0.311 0.301 0.717
W: 0.301 0.311 0.217
W: 0.689 0.699 0.283
O: 0.410 0.628 0.032
O: 0.372 0.590 0.468
O: 0.590 0.372 0.968
O: 0.628 0.410 0.532
O: 0.938 0.628 0.628
O: 0.372 0.062 0.872
O: 0.062 0.372 0.372
O: 0.628 0.938 0.128
O: 0.623 0.751 0.560
O: 0.249 0.377 0.940
O: 0.377 0.249 0.440
O: 0.751 0.623 0.060
O: 0.780 0.953 0.694
O: 0.047 0.220 0.806
O: 0.220 0.047 0.306
O: 0.953 0.780 0.194


No. 3
Compound: Sr2GdWO6
Source: Materials Project
Functional: PBE with a Hubbard U
Structure: optimized geometry

Output
As for the symmetry: No. 201. Its size of the total moment is 0.60 μB/atom.

Lattice parameters (Å, degrees): 8.414 8.414 8.414 90.00 90.00 90.00
Positions (direct):
Sr: 0.500 0.500 0.500
Sr: 0.000 0.000 0.000
Sr: 0.000 0.000 0.500
Sr: 0.000 0.500 0.000
Sr: 0.500 0.000 0.000
Sr: 0.500 0.500 0.000
Sr: 0.500 0.000 0.500
Sr: 0.000 0.500 0.500
Gd: 0.750 0.750 0.750
Gd: 0.750 0.250 0.250
Gd: 0.250 0.750 0.250
Gd: 0.250 0.250 0.750
W: 0.250 0.250 0.250
W: 0.250 0.750 0.750
W: 0.750 0.250 0.750
W: 0.750 0.750 0.250
O: 0.215 0.287 0.484
O: 0.215 0.713 0.516
O: 0.785 0.287 0.516
O: 0.785 0.713 0.484
O: 0.287 0.484 0.215
O: 0.713 0.516 0.215
O: 0.287 0.516 0.785
O: 0.713 0.484 0.785
O: 0.484 0.215 0.287
O: 0.516 0.215 0.713
O: 0.516 0.785 0.287
O: 0.484 0.785 0.713
O: 0.285 0.213 0.016
O: 0.285 0.787 0.984
O: 0.715 0.213 0.984
O: 0.715 0.787 0.016
O: 0.213 0.016 0.285
O: 0.787 0.984 0.285
O: 0.213 0.984 0.715
O: 0.787 0.016 0.715
O: 0.016 0.285 0.213
O: 0.984 0.285 0.787
O: 0.984 0.715 0.213
O: 0.016 0.715 0.787


No. 4
Compound: Sr2GdWO6
Source: Materials Project
Functional: PBE with a Hubbard U
Structure: optimized geometry

Output
As for the symmetry: No. 225. Its size of the total moment is 0.80 μB/atom.

Lattice parameters (Å, degrees): 5.985 5.985 5.985 60.00 60.00 60.00
Positions (direct):
Sr: 0.250 0.250 0.250
Sr: 0.750 0.750 0.750
Gd: 0.000 0.000 0.000
W: 0.500 0.500 0.500
O: 0.735 0.265 0.265
O: 0.265 0.735 0.735
O: 0.735 0.265 0.735
O: 0.265 0.735 0.265
O: 0.735 0.735 0.265
O: 0.265 0.265 0.735


No. 5
Compound: GdTlW2O8
Source: Materials Project
Functional: PBE with a Hubbard U
Structure: optimized geometry

Output
As for the symmetry: No. 15. Its size of the total moment is 0.58 μB/atom.

Lattice parameters (Å, degrees): 7.678 7.678 7.518 62.70 62.70 89.04
Positions (direct):
Gd: 0.776 0.224 0.750
Gd: 0.224 0.776 0.250
Tl: 0.203 0.797 0.750
Tl: 0.797 0.203 0.250
W: 0.699 0.689 0.779
W: 0.301 0.311 0.221
W: 0.311 0.301 0.721
W: 0.689 0.699 0.279
O: 0.619 0.756 0.558
O: 0.381 0.244 0.442
O: 0.244 0.381 0.942
O: 0.756 0.619 0.058
O: 0.379 0.067 0.874
O: 0.621 0.933 0.126
O: 0.933 0.621 0.626
O: 0.067 0.379 0.374
O: 0.586 0.370 0.968
O: 0.414 0.630 0.032
O: 0.630 0.414 0.532
O: 0.370 0.586 0.468
O: 0.787 0.952 0.690
O: 0.213 0.048 0.310
O: 0.048 0.213 0.810
O: 0.952 0.787 0.190


No. 6
Compound: Gd2V2O7
Source: Materials Project
Functional: PBE with a Hubbard U
Structure: optimized geometry

Output
As for the symmetry: No. 227. Its size of the total moment is 1.09 μB/atom.

Lattice parameters (Å, degrees): 7.204 7.204 7.204 60.00 60.00 60.00
Positions (direct):
Gd: 0.625 0.625 0.125
Gd: 0.625 0.125 0.625
Gd: 0.125 0.625 0.625
Gd: 0.625 0.625 0.625
V: 0.125 0.125 0.125
V: 0.625 0.125 0.125
V: 0.125 0.625 0.125
V: 0.125 0.125 0.625
O: 0.796 0.204 0.204
O: 0.046 0.454 0.454
O: 0.204 0.796 0.204
O: 0.204 0.204 0.796
O: 0.796 0.204 0.796
O: 0.796 0.796 0.204
O: 0.500 0.500 0.500
O: 0.046 0.046 0.454
O: 0.454 0.046 0.454
O: 0.454 0.454 0.046
O: 0.046 0.454 0.046
O: 0.750 0.750 0.750
O: 0.204 0.796 0.796
O: 0.454 0.046 0.046


No. 7
Compound: GdVO3
Source: Materials Project
Functional: PBE with a Hubbard U
Structure: optimized geometry

Output
As for the symmetry: No. 62.

Lattice parameters (Å, degrees): 5.411 5.699 7.728 90.00 90.00 90.00
Positions (direct):
Gd: 0.979 0.933 0.250
Gd: 0.479 0.567 0.750
Gd: 0.521 0.433 0.250
Gd: 0.021 0.067 0.750
V: 0.500 0.000 0.000
V: 0.000 0.500 0.000
V: 0.000 0.500 0.500
V: 0.500 0.000 0.500
O: 0.111 0.536 0.250
O: 0.611 0.964 0.750
O: 0.389 0.036 0.250
O: 0.889 0.464 0.750
O: 0.690 0.702 0.056
O: 0.190 0.798 0.944
O: 0.810 0.202 0.444
O: 0.310 0.298 0.556
O: 0.310 0.298 0.944
O: 0.810 0.202 0.056
O: 0.190 0.798 0.556
O: 0.690 0.702 0.444


No. 8
Compound: Gd2V2O7
Source: Materials Project
Functional: PBE with a Hubbard U
Structure: optimized geometry

Output
As for the symmetry: No. 2. Its size of the total moment is 1.46 μB/atom.

Lattice parameters (Å, degrees): 6.847 7.048 7.043 85.07 62.92 83.62
Positions (direct):
Gd: 0.271 0.572 0.264
Gd: 0.254 0.153 0.674
Gd: 0.746 0.847 0.326
Gd: 0.729 0.428 0.736
V: 0.274 0.066 0.155
V: 0.196 0.665 0.778
V: 0.804 0.335 0.222
V: 0.726 0.934 0.845
O: 0.051 0.192 0.059
O: 0.102 0.859 0.259
O: 0.258 0.234 0.329
O: 0.128 0.486 0.642
O: 0.527 0.887 0.139
O: 0.366 0.832 0.576
O: 0.644 0.461 0.098
O: 0.356 0.539 0.902
O: 0.634 0.168 0.424
O: 0.473 0.113 0.861
O: 0.872 0.514 0.358
O: 0.742 0.766 0.671
O: 0.898 0.141 0.741
O: 0.949 0.808 0.941


| no. | energy relative to the elements (eV/atom) |
| --- | --- |
| 1 | 0.307 |
| 2 | -2.655 |
| 3 | -3.101 |
| 4 | -2.990 |
| 5 | -2.489 |
| 6 | -3.110 |
| 7 | -3.253 |
| 8 | -3.098 |